1.
A relaxed Pb3S crystal. Source: Materials Project, functional GGA-PBE.

Geometry as POSCAR:
```
Pb3S
1.0
4.8402 0.0000 0.0000
0.0000 4.8402 0.0000
0.0000 0.0000 4.8402
Pb S
3 1
direct
0.5000 0.5000 0.0000
0.5000 0.0000 0.5000
0.0000 0.5000 0.5000
0.0000 0.0000 0.0000
```

Calculated density in g/cm³: 9.57
Space-group type: No. 221
M_tot in Bohr magnetons per cell: 0.002
Formation enthalpy at 0 K in kJ/mol of formula units: -25

***

2.
A relaxed PbS crystal. Source: Materials Project, functional GGA-PBE.

Geometry as POSCAR:
```
PbS
1.0
2.0751 -3.5941 0.0000
2.0751 3.5941 0.0000
0.0000 0.0000 7.6394
S Pb
2 2
direct
0.3333 0.6667 0.6897
0.6667 0.3333 0.1897
0.0000 0.0000 0.9895
0.0000 0.0000 0.4895
```

Calculated density in g/cm³: 6.97
Space-group type: No. 186
Formation enthalpy at 0 K in kJ/mol of formula units: -140

***

3.
A relaxed PbS crystal. Source: Materials Project, functional GGA-PBE.

Geometry as POSCAR:
```
PbS
1.0
2.5025 2.1612 -2.6702
-3.1271 2.8019 -0.6589
3.7888 6.2540 8.6130
Pb S
2 2
direct
0.7566 0.7434 0.6246
0.2566 0.2434 0.3754
0.7644 0.7356 0.3863
0.2644 0.2356 0.6137
```

Calculated density in g/cm³: 3.89
Space-group type: No. 39
M_tot in Bohr magnetons per cell: 0.000
Formation enthalpy at 0 K in kJ/mol of formula units: -140

***

4.
A relaxed PbS crystal. Source: Materials Project, functional GGA-PBE.

Geometry as POSCAR:
```
PbS
1.0
2.0846 -3.6107 0.0000
2.0846 3.6107 0.0000
0.0000 0.0000 7.3413
Pb S
2 2
direct
0.0000 0.0000 0.5000
0.0000 0.0000 0.0000
0.6667 0.3333 0.7500
0.3333 0.6667 0.2500
```

Calculated density in g/cm³: 7.19
Space-group type: No. 194
Formation enthalpy at 0 K in kJ/mol of formula units: -139

***

5.
A relaxed PbS crystal. Source: Materials Project, functional GGA-PBE.

Geometry as POSCAR:
```
PbS
1.0
4.1245 0.0000 0.0000
0.0000 6.0365 0.0000
0.0000 1.2314 9.8348
S Pb
4 4
direct
0.7500 0.9509 0.6591
0.2500 0.0491 0.3409
0.7500 0.7303 0.0985
0.2500 0.2697 0.9015
0.2500 0.7763 0.9074
0.7500 0.7594 0.4005
0.2500 0.2406 0.5995
0.7500 0.2237 0.0926
```

Calculated density in g/cm³: 6.49
Space-group type: No. 11
M_tot in Bohr magnetons per cell: 0.002
Formation enthalpy at 0 K in kJ/mol of formula units: -135

***

6.
A relaxed PbS crystal. Source: Materials Project, functional GGA-PBE.

Geometry as POSCAR:
```
PbS
1.0
3.6537 0.0000 0.0000
0.0000 3.6537 0.0000
0.0000 0.0000 3.6537
Pb S
1 1
direct
0.0000 0.0000 0.0000
0.5000 0.5000 0.5000
```

Calculated density in g/cm³: 8.15
Space-group type: No. 221
M_tot in Bohr magnetons per cell: 0.002
Formation enthalpy at 0 K in kJ/mol of formula units: -101

***

Question: formation enthalpy at 0 K of number 3 (PbS)?
Answer: -140 kJ/mol of formula units